1.
The following is a DFT calculation (GGA+U) of a relaxed Sr2NbFeO6 crystal.

a b c (Å): 5.6901 5.6901 9.8556
angles (deg): 73.22 73.22 60.00
With the nearest neighbours (Å) after each atom.
Fractional coordinates of all 20 atoms:
Sr 0.2500 0.2500 0.2500  12 O 2.85
Sr 0.7500 0.7500 0.7500  12 O 2.85
Sr 0.0000 0.0000 0.0000  12 O 2.85
Sr 0.5000 0.5000 0.5000  12 O 2.85
Nb 0.6250 0.6250 0.1250  6 O 2.01
Nb 0.1250 0.1250 0.6250  6 O 2.01
Fe 0.3750 0.3750 0.8750  6 O 2.02
Fe 0.8750 0.8750 0.3750  6 O 2.02
O 0.2511 0.7496 0.2496  1 Nb 2.01, 1 Fe 2.02
O 0.7511 0.2496 0.7496  1 Nb 2.01, 1 Fe 2.02
O 0.9989 0.5004 0.0004  1 Nb 2.01, 1 Fe 2.02
O 0.4989 0.0004 0.5004  1 Nb 2.01, 1 Fe 2.02
O 0.5004 0.5004 0.0004  1 Nb 2.01, 1 Fe 2.02
O 0.0004 0.0004 0.5004  1 Nb 2.01, 1 Fe 2.02
O 0.7496 0.7496 0.2496  1 Nb 2.01, 1 Fe 2.02
O 0.2496 0.2496 0.7496  1 Nb 2.01, 1 Fe 2.02
O 0.7496 0.2511 0.2496  1 Nb 2.01, 1 Fe 2.02
O 0.2496 0.7511 0.7496  1 Nb 2.01, 1 Fe 2.02
O 0.5004 0.9989 0.0004  1 Nb 2.01, 1 Fe 2.02
O 0.0004 0.4989 0.5004  1 Nb 2.01, 1 Fe 2.02

## Properties
ρ (g/cm³): 5.35
M_tot (μB/f.u.): 0.00
Formation energy (meV/atom): -2925



2.
The following is a DFT calculation (GGA+U) of a relaxed Sr2NbFeO6 crystal.

a b c (Å): 4.0457 5.6972 5.6972
angles (deg): 90.00 90.00 90.00
With the nearest neighbours (Å) after each atom.
Fractional coordinates of all 10 atoms:
Sr 0.5000 0.5000 0.0000  12 O 2.85
Sr 0.5000 0.0000 0.5000  12 O 2.85
Nb 0.0000 0.5000 0.5000  6 O 1.98-2.02
Fe 0.0000 0.0000 0.0000  6 O 2.02-2.04
O 0.5000 0.0000 0.0000  2 Fe 2.02
O 0.5000 0.5000 0.5000  2 Nb 2.02
O 0.0000 0.7462 0.7462  1 Nb 1.98, 1 Fe 2.04
O 0.0000 0.2538 0.2538  1 Nb 1.98, 1 Fe 2.04
O 0.0000 0.2538 0.7462  1 Nb 1.98, 1 Fe 2.04
O 0.0000 0.7462 0.2538  1 Nb 1.98, 1 Fe 2.04

## Properties
ρ (g/cm³): 5.31
M_tot (μB/f.u.): 5.00
Formation energy (meV/atom): -2896



3.
The following is a DFT calculation (GGA+U) of a relaxed SrNbFeO6 crystal.

a b c (Å): 5.6111 5.6111 5.6111
angles (deg): 120.31 120.31 89.47
With the nearest neighbours (Å) after each atom.
Fractional coordinates of all 9 atoms:
Sr 0.7500 0.2500 0.5000  12 O 2.68-2.93
Nb 0.0000 0.0000 0.0000  6 O 2.00
Fe 0.5000 0.5000 0.0000  6 O 1.96-1.99
O 0.2507 0.2507 0.0000  1 Fe 1.99, 1 Nb 2.00
O 0.7288 0.7700 0.4956  1 Fe 1.96, 1 Nb 2.00
O 0.7493 0.7493 0.0000  1 Fe 1.99, 1 Nb 2.00
O 0.2300 0.7256 0.9588  1 Fe 1.96, 1 Nb 2.00
O 0.7668 0.2712 0.0412  1 Fe 1.96, 1 Nb 2.00
O 0.2744 0.2332 0.5044  1 Fe 1.96, 1 Nb 2.00

## Properties
ρ (g/cm³): 4.44
M_tot (μB/f.u.): 5.77
Formation energy (meV/atom): -2300



4.
The following is a DFT calculation (GGA+U) of a relaxed NdFe3O6 crystal.

a b c (Å): 5.3631 5.3631 5.6139
angles (deg): 61.47 118.53 120.00
With the nearest neighbours (Å) after each atom.
Fractional coordinates of all 10 atoms:
Nd 0.1193 0.8807 0.3578  3 O 2.29
Fe 0.6489 0.3511 0.9467  6 O 2.08-2.09
Fe 0.8575 0.1425 0.5725  6 O 2.00-2.12
Fe 0.3465 0.6535 0.0394  6 O 1.99-2.10
O 0.2399 0.0484 0.7721  3 Fe 2.00-2.10
O 0.5805 0.7601 0.7721  3 Fe 2.00-2.10
O 0.9516 0.4195 0.7721  3 Fe 2.00-2.10
O 0.5134 0.3204 0.2558  3 Fe 1.99-2.12
O 0.0628 0.4866 0.2558  3 Fe 1.99-2.12
O 0.6796 0.9372 0.2558  3 Fe 1.99-2.12

## Properties
ρ (g/cm³): 5.81
M_tot (μB/f.u.): 15.00
Formation energy (meV/atom): -2139



5.
The following is a DFT calculation (GGA+U) of a relaxed Nd3Sc2Fe3O12 crystal.

a b c (Å): 11.1584 11.1584 11.1584
angles (deg): 109.47 109.47 109.47
With the nearest neighbours (Å) after each atom.
Fractional coordinates of all 80 atoms:
Nd 0.2500 0.3750 0.1250  8 O 2.45-2.56
Nd 0.7500 0.6250 0.8750  8 O 2.45-2.56
Nd 0.7500 0.1250 0.3750  8 O 2.45-2.56
Nd 0.1250 0.2500 0.3750  8 O 2.45-2.56
Nd 0.3750 0.7500 0.1250  8 O 2.45-2.56
Nd 0.2500 0.8750 0.6250  8 O 2.45-2.56
Nd 0.8750 0.7500 0.6250  8 O 2.45-2.56
Nd 0.6250 0.2500 0.8750  8 O 2.45-2.56
Nd 0.3750 0.1250 0.2500  8 O 2.45-2.56
Nd 0.6250 0.8750 0.7500  8 O 2.45-2.56
Nd 0.1250 0.3750 0.7500  8 O 2.45-2.56
Nd 0.8750 0.6250 0.2500  8 O 2.45-2.56
Sc 0.0000 0.0000 0.0000  6 O 2.12
Sc 0.5000 0.0000 0.5000  6 O 2.12
Sc 0.0000 0.5000 0.5000  6 O 2.12
Sc 0.5000 0.0000 0.0000  6 O 2.12
Sc 0.5000 0.5000 0.0000  6 O 2.12
Sc 0.5000 0.5000 0.5000  6 O 2.12
Sc 0.0000 0.0000 0.5000  6 O 2.12
Sc 0.0000 0.5000 0.0000  6 O 2.12
Fe 0.2500 0.6250 0.3750  4 O 1.91
Fe 0.7500 0.3750 0.6250  4 O 1.91
Fe 0.7500 0.8750 0.1250  4 O 1.91
Fe 0.3750 0.2500 0.6250  4 O 1.91
Fe 0.6250 0.7500 0.3750  4 O 1.91
Fe 0.2500 0.1250 0.8750  4 O 1.91
Fe 0.1250 0.7500 0.8750  4 O 1.91
Fe 0.8750 0.2500 0.1250  4 O 1.91
Fe 0.6250 0.3750 0.2500  4 O 1.91
Fe 0.3750 0.6250 0.7500  4 O 1.91
Fe 0.8750 0.1250 0.7500  4 O 1.91
Fe 0.1250 0.8750 0.2500  4 O 1.91
O 0.4730 0.3760 0.2920  1 Fe 1.91, 1 Sc 2.12
O 0.5270 0.6240 0.7080  1 Fe 1.91, 1 Sc 2.12
O 0.5841 0.1810 0.2080  1 Fe 1.91, 1 Sc 2.12
O 0.9159 0.1240 0.5970  1 Fe 1.91, 1 Sc 2.12
O 0.2920 0.4730 0.3760  1 Fe 1.91, 1 Sc 2.12
O 0.3190 0.9159 0.2920  1 Fe 1.91, 1 Sc 2.12
O 0.4159 0.8190 0.7920  1 Fe 1.91, 1 Sc 2.12
O 0.0841 0.8760 0.4030  1 Fe 1.91, 1 Sc 2.12
O 0.7080 0.5270 0.6240  1 Fe 1.91, 1 Sc 2.12
O 0.6810 0.0841 0.7080  1 Fe 1.91, 1 Sc 2.12
O 0.0270 0.3190 0.9030  1 Fe 1.91, 1 Sc 2.12
O 0.2080 0.5841 0.1810  1 Fe 1.91, 1 Sc 2.12
O 0.1240 0.0270 0.2080  1 Fe 1.91, 1 Sc 2.12
O 0.9730 0.6810 0.0970  1 Fe 1.91, 1 Sc 2.12
O 0.7920 0.4159 0.8190  1 Fe 1.91, 1 Sc 2.12
O 0.8760 0.9730 0.7920  1 Fe 1.91, 1 Sc 2.12
O 0.5970 0.9159 0.1240  1 Fe 1.91, 1 Sc 2.12
O 0.1810 0.4730 0.5970  1 Fe 1.91, 1 Sc 2.12
O 0.4030 0.0841 0.8760  1 Fe 1.91, 1 Sc 2.12
O 0.8190 0.5270 0.4030  1 Fe 1.91, 1 Sc 2.12
O 0.9030 0.0270 0.3190  1 Fe 1.91, 1 Sc 2.12
O 0.3760 0.5841 0.9030  1 Fe 1.91, 1 Sc 2.12
O 0.0970 0.9730 0.6810  1 Fe 1.91, 1 Sc 2.12
O 0.6240 0.4159 0.0970  1 Fe 1.91, 1 Sc 2.12
O 0.3760 0.2920 0.4730  1 Fe 1.91, 1 Sc 2.12
O 0.5841 0.9030 0.3760  1 Fe 1.91, 1 Sc 2.12
O 0.6240 0.7080 0.5270  1 Fe 1.91, 1 Sc 2.12
O 0.4159 0.0970 0.6240  1 Fe 1.91, 1 Sc 2.12
O 0.1240 0.5970 0.9159  1 Fe 1.91, 1 Sc 2.12
O 0.0270 0.2080 0.1240  1 Fe 1.91, 1 Sc 2.12
O 0.8760 0.4030 0.0841  1 Fe 1.91, 1 Sc 2.12
O 0.9730 0.7920 0.8760  1 Fe 1.91, 1 Sc 2.12
O 0.3190 0.9030 0.0270  1 Fe 1.91, 1 Sc 2.12
O 0.9159 0.2920 0.3190  1 Fe 1.91, 1 Sc 2.12
O 0.6810 0.0970 0.9730  1 Fe 1.91, 1 Sc 2.12
O 0.0841 0.7080 0.6810  1 Fe 1.91, 1 Sc 2.12
O 0.1810 0.2080 0.5841  1 Fe 1.91, 1 Sc 2.12
O 0.4730 0.5970 0.1810  1 Fe 1.91, 1 Sc 2.12
O 0.8190 0.7920 0.4159  1 Fe 1.91, 1 Sc 2.12
O 0.5270 0.4030 0.8190  1 Fe 1.91, 1 Sc 2.12
O 0.2920 0.3190 0.9159  1 Fe 1.91, 1 Sc 2.12
O 0.7080 0.6810 0.0841  1 Fe 1.91, 1 Sc 2.12
O 0.2080 0.1240 0.0270  1 Fe 1.91, 1 Sc 2.12
O 0.7920 0.8760 0.9730  1 Fe 1.91, 1 Sc 2.12
O 0.9030 0.3760 0.5841  1 Fe 1.91, 1 Sc 2.12
O 0.0970 0.6240 0.4159  1 Fe 1.91, 1 Sc 2.12
O 0.5970 0.1810 0.4730  1 Fe 1.91, 1 Sc 2.12
O 0.4030 0.8190 0.5270  1 Fe 1.91, 1 Sc 2.12

## Properties
ρ (g/cm³): 5.48
M_tot (μB/f.u.): 15.01
Formation energy (meV/atom): -3094



6.
The following is a DFT calculation (GGA+U) of a relaxed Nd2Fe2Se2O3 crystal.

a b c (Å): 9.8703 9.8703 9.8703
angles (deg): 156.06 156.06 34.11
With the nearest neighbours (Å) after each atom.
Fractional coordinates of all 9 atoms:
Nd 0.3121 0.3121 0.0000  4 O 2.36
Nd 0.6879 0.6879 0.0000  4 O 2.36
Fe 0.5000 0.0000 0.5000  2 O 2.05
Fe 0.0000 0.5000 0.5000  2 O 2.05
Se 0.9005 0.9005 0.0000  4 Fe 2.78
Se 0.0995 0.0995 0.0000  4 Fe 2.78
O 0.2500 0.7500 0.5000  4 Nd 2.36
O 0.7500 0.2500 0.5000  4 Nd 2.36
O 0.5000 0.5000 0.0000  4 Fe 2.05

## Properties
ρ (g/cm³): 6.37
M_tot (μB/f.u.): 8.00
Formation energy (meV/atom): -2182



7.
The following is a DFT calculation (GGA+U) of a relaxed NdSmFe4O12 crystal.

a b c (Å): 5.3742 5.3742 7.6174
angles (deg): 90.00 90.00 90.04
With the nearest neighbours (Å) after each atom.
Fractional coordinates of all 18 atoms:
Nd 0.5000 0.5000 0.0000  12 O 2.64-2.76
Sm 0.0000 0.0000 0.5000  12 O 2.62-2.74
Fe 0.0000 0.5000 0.2503  6 O 1.90-1.91
Fe 0.0000 0.5000 0.7497  6 O 1.90-1.91
Fe 0.5000 0.0000 0.2503  6 O 1.90-1.91
Fe 0.5000 0.0000 0.7497  6 O 1.90-1.91
O 0.2390 0.2390 0.2521  2 Fe 1.90
O 0.2390 0.2390 0.7479  2 Fe 1.90
O 0.7610 0.7610 0.7479  2 Fe 1.90
O 0.7610 0.7610 0.2521  2 Fe 1.90
O 0.7407 0.2593 0.7501  2 Fe 1.90
O 0.7407 0.2593 0.2499  2 Fe 1.90
O 0.2593 0.7407 0.2499  2 Fe 1.90
O 0.2593 0.7407 0.7501  2 Fe 1.90
O 0.0000 0.5000 0.0000  2 Fe 1.91
O 0.0000 0.5000 0.5000  2 Fe 1.90
O 0.5000 0.0000 0.0000  2 Fe 1.91
O 0.5000 0.0000 0.5000  2 Fe 1.90

## Properties
ρ (g/cm³): 5.36
M_tot (μB/f.u.): 18.53
Formation energy (meV/atom): -1807



8.
The following is a DFT calculation (GGA+U) of a relaxed SrNdFeO4 crystal.

a b c (Å): 6.8628 6.8628 6.8628
angles (deg): 146.96 146.96 47.43
With the nearest neighbours (Å) after each atom.
Fractional coordinates of all 7 atoms:
Sr 0.6451 0.6451 0.0000  1 O 2.37
Nd 0.3612 0.3612 0.0000  5 O 2.37-2.55
Fe 0.0048 0.0048 0.0000  6 O 1.96-2.15
O 0.8335 0.8335 0.0000  1 Fe 2.15, 1 Sr 2.37
O 0.1728 0.1728 0.0000  1 Fe 2.11
O 0.9912 0.4912 0.5000  2 Fe 1.96
O 0.4912 0.9912 0.5000  2 Fe 1.96

## Properties
ρ (g/cm³): 6.10
M_tot (μB/f.u.): 5.00
Formation energy (meV/atom): -2854



9.
The following is a DFT calculation (GGA+U) of a relaxed Nd5Ti4FeO17 crystal.

a b c (Å): 5.5036 7.7445 32.1637
angles (deg): 83.03 90.00 90.00
With the nearest neighbours (Å) after each atom.
Fractional coordinates of all 108 atoms:
Nd 0.0420 0.3554 0.2992  8 O 2.41-2.67
Nd 0.0013 0.7005 0.0966  8 O 2.38-2.55
Nd 0.5013 0.2995 0.4034  8 O 2.38-2.55
Nd 0.4790 0.2119 0.5790  6 O 2.36-2.56
Nd 0.5210 0.7881 0.4210  6 O 2.36-2.56
Nd 0.5420 0.6446 0.2008  8 O 2.41-2.67
Nd 0.3865 0.8574 0.7784  7 O 2.33-2.45
Nd 0.4987 0.7005 0.5966  8 O 2.38-2.55
Nd 0.9790 0.7881 0.9210  6 O 2.36-2.56
Nd 0.8865 0.1426 0.7216  7 O 2.33-2.45
Nd 0.4580 0.3554 0.7992  8 O 2.41-2.67
Nd 0.9901 0.7446 0.5086  6 O 2.35-2.63
Nd 0.4901 0.2554 0.9914  6 O 2.35-2.63
Nd 0.9580 0.6446 0.7008  8 O 2.41-2.67
Nd 0.0099 0.2554 0.4914  6 O 2.35-2.63
Nd 0.5099 0.7446 0.0086  6 O 2.35-2.63
Nd 0.0210 0.2119 0.0790  6 O 2.36-2.56
Nd 0.1135 0.8574 0.2784  7 O 2.33-2.45
Nd 0.6135 0.1426 0.2216  7 O 2.33-2.45
Nd 0.9987 0.2995 0.9034  8 O 2.38-2.55
Ti 0.0416 0.9239 0.1762  5 O 1.86-2.09
Ti 0.0143 0.5469 0.4055  5 O 1.84-2.03
Ti 0.5416 0.0761 0.3238  5 O 1.86-2.09
Ti 0.0169 0.0450 0.4066  5 O 1.85-2.04
Ti 0.4831 0.0450 0.9066  5 O 1.85-2.04
Ti 0.9857 0.4531 0.5945  5 O 1.84-2.03
Ti 0.5525 0.5926 0.3211  2 O 1.78-1.90
Ti 0.9831 0.9550 0.5934  5 O 1.85-2.04
Ti 0.5169 0.9550 0.0934  5 O 1.85-2.04
Ti 0.9584 0.0761 0.8238  5 O 1.86-2.09
Ti 0.4584 0.9239 0.6762  5 O 1.86-2.09
Ti 0.5143 0.4531 0.0945  5 O 1.84-2.03
Ti 0.0525 0.4074 0.1789  2 O 1.78-1.90
Ti 0.4475 0.4074 0.6789  2 O 1.78-1.90
Ti 0.9475 0.5926 0.8211  2 O 1.78-1.90
Ti 0.4857 0.5469 0.9055  5 O 1.84-2.03
Fe 0.5000 0.5000 0.5000  6 O 2.00-2.09
Fe 0.0000 0.0000 0.0000  6 O 2.00-2.08
Fe 0.0000 0.5000 0.0000  6 O 2.00-2.09
Fe 0.5000 0.0000 0.5000  6 O 2.00-2.08
O 0.3004 0.9662 0.6195  2 Ti 1.94-2.01
O 0.8395 0.6321 0.2964  1 Ti 1.78
O 0.2064 0.0296 0.5365  1 Fe 2.03, 1 Ti 2.22
O 0.2933 0.4349 0.0362  1 Fe 2.02, 1 Ti 2.26
O 0.7852 0.5148 0.0530  1 Ti 2.02, 1 Fe 2.09
O 0.6965 0.5846 0.3812  2 Ti 1.92-2.08
O 0.7127 0.8699 0.1380  1 Ti 1.85
O 0.1131 0.6631 0.1706  2 Ti 1.99-2.09
O 0.4259 0.7089 0.0824  2 Ti 2.03-2.04
O 0.8035 0.5846 0.8812  2 Ti 1.92-2.08
O 0.2873 0.1301 0.8620  1 Ti 1.85
O 0.7936 0.9704 0.4635  1 Fe 2.03, 1 Ti 2.22
O 0.7151 0.9319 0.5526  1 Ti 2.00, 1 Fe 2.08
O 0.1879 0.9190 0.7112  1 Ti 1.86
O 0.1996 0.9662 0.1195  2 Ti 1.94-2.01
O 0.5881 0.2480 0.5037  2 Fe 2.00
O 0.7933 0.5651 0.4638  1 Fe 2.02, 1 Ti 2.26
O 0.7849 0.9319 0.0526  1 Ti 2.00, 1 Fe 2.08
O 0.0741 0.7089 0.5824  2 Ti 2.03-2.04
O 0.6605 0.6321 0.7964  1 Ti 1.78
O 0.9168 0.2043 0.5917  2 Ti 1.96-1.98
O 0.6879 0.0810 0.7888  1 Ti 1.86
O 0.2849 0.0681 0.4474  1 Ti 2.00, 1 Fe 2.08
O 0.3121 0.9190 0.2112  1 Ti 1.86
O 0.8121 0.0810 0.2888  1 Ti 1.86
O 0.0832 0.7957 0.4083  2 Ti 1.96-1.98
O 0.2082 0.5063 0.3609  1 Ti 1.84
O 0.1746 0.1342 0.7795  1 Ti 1.87
O 0.2936 0.0296 0.0365  1 Fe 2.03, 1 Ti 2.22
O 0.3035 0.4154 0.6188  2 Ti 1.92-2.08
O 0.7064 0.9704 0.9635  1 Fe 2.03, 1 Ti 2.22
O 0.7918 0.4937 0.6391  1 Ti 1.84
O 0.8004 0.0338 0.8805  2 Ti 1.94-2.01
O 0.5741 0.2911 0.9176  2 Ti 2.03-2.04
O 0.4119 0.7520 0.4963  2 Fe 2.00
O 0.0881 0.7520 0.9963  2 Fe 2.00
O 0.3254 0.1342 0.2795  1 Ti 1.87
O 0.2127 0.1301 0.3620  1 Ti 1.85
O 0.0492 0.8351 0.8285  2 Ti 1.92-2.00
O 0.5832 0.2043 0.0917  2 Ti 1.96-1.98
O 0.9508 0.1649 0.1715  2 Ti 1.92-2.00
O 0.6553 0.4075 0.7261  1 Ti 1.90
O 0.4508 0.8351 0.3285  2 Ti 1.92-2.00
O 0.2148 0.4852 0.9470  1 Ti 2.02, 1 Fe 2.09
O 0.2151 0.0681 0.9474  1 Ti 2.00, 1 Fe 2.08
O 0.9259 0.2911 0.4176  2 Ti 2.03-2.04
O 0.2852 0.4852 0.4470  1 Ti 2.02, 1 Fe 2.09
O 0.3869 0.6631 0.6706  2 Ti 1.99-2.09
O 0.3395 0.3679 0.2036  1 Ti 1.78
O 0.7873 0.8699 0.6380  1 Ti 1.85
O 0.2067 0.4349 0.5362  1 Fe 2.02, 1 Ti 2.26
O 0.2918 0.5063 0.8609  1 Ti 1.84
O 0.4168 0.7957 0.9083  2 Ti 1.96-1.98
O 0.7067 0.5651 0.9638  1 Fe 2.02, 1 Ti 2.26
O 0.1553 0.5925 0.7739  1 Ti 1.90
O 0.5492 0.1649 0.6715  2 Ti 1.92-2.00
O 0.6131 0.3369 0.3294  2 Ti 1.99-2.09
O 0.6996 0.0338 0.3805  2 Ti 1.94-2.01
O 0.3447 0.5925 0.2739  1 Ti 1.90
O 0.7148 0.5148 0.5530  1 Ti 2.02, 1 Fe 2.09
O 0.1605 0.3679 0.7036  1 Ti 1.78
O 0.9119 0.2480 0.0037  2 Fe 2.00
O 0.7082 0.4937 0.1391  1 Ti 1.84
O 0.8254 0.8658 0.2205  1 Ti 1.87
O 0.6746 0.8658 0.7205  1 Ti 1.87
O 0.8869 0.3369 0.8294  2 Ti 1.99-2.09
O 0.1965 0.4154 0.1188  2 Ti 1.92-2.08
O 0.8447 0.4075 0.2261  1 Ti 1.90

## Properties
ρ (g/cm³): 6.06
M_tot (μB/f.u.): 5.06
Formation energy (meV/atom): -3553



10.
The following is a DFT calculation (GGA+U) of a relaxed Nd2VFeO6 crystal.

a b c (Å): 5.6997 5.5002 9.5823
angles (deg): 55.19 90.00 90.00
With the nearest neighbours (Å) after each atom.
Fractional coordinates of all 20 atoms:
Nd 0.5556 0.7644 0.7496  6 O 2.36-2.61
Nd 0.0556 0.2356 0.7504  6 O 2.36-2.61
Nd 0.4444 0.2356 0.2504  6 O 2.36-2.61
Nd 0.9444 0.7644 0.2496  6 O 2.36-2.61
V 0.5000 0.5000 0.5000  6 O 2.05-2.07
V 0.0000 0.5000 0.0000  6 O 2.05-2.07
Fe 0.5000 0.0000 0.0000  6 O 2.03-2.06
Fe 0.0000 0.0000 0.5000  6 O 2.03-2.06
O 0.7027 0.2459 0.0507  1 Fe 2.04, 1 V 2.07
O 0.2027 0.7541 0.4493  1 Fe 2.04, 1 V 2.07
O 0.2958 0.1528 0.5496  1 V 2.05, 1 Fe 2.06
O 0.7958 0.8472 0.9504  1 V 2.05, 1 Fe 2.06
O 0.2973 0.7541 0.9493  1 Fe 2.04, 1 V 2.07
O 0.7973 0.2459 0.5507  1 Fe 2.04, 1 V 2.07
O 0.7042 0.8472 0.4504  1 V 2.05, 1 Fe 2.06
O 0.2042 0.1528 0.0495  1 V 2.05, 1 Fe 2.06
O 0.4729 0.3426 0.7518  1 Fe 2.03, 1 V 2.05
O 0.9729 0.6574 0.7482  1 Fe 2.03, 1 V 2.05
O 0.5271 0.6574 0.2482  1 Fe 2.03, 1 V 2.05
O 0.0271 0.3426 0.2518  1 Fe 2.03, 1 V 2.05

## Properties
ρ (g/cm³): 6.62
M_tot (μB/f.u.): 7.00
Formation energy (meV/atom): -3006



In order of appearance, MP2020-corrected energy = -161.8, -80.6, -70.6, -81.3, -694.5, -67.9, -135.3, -54.7, -975.7, -173.7 eV per cell.